# 1
TmAlSi | PBE | relaxed Values from VASP.

Properties
E_form (eV/f.u.): -1.75

```
&SYSTEM
  ibrav = 0, nat = 6, ntyp = 3
/
ATOMIC_SPECIES
Tm 168.93 Tm.upf
Al 26.98 Al.upf
Si 28.09 Si.upf
ATOMIC_POSITIONS crystal
Tm 0.194 0.806 0.750
Tm 0.806 0.194 0.250
Al 0.500 0.500 0.000
Al 0.500 0.500 0.500
Si 0.102 0.898 0.250
Si 0.898 0.102 0.750
CELL_PARAMETERS angstrom
1.995 -5.077 0.000
1.995 5.077 0.000
0.000 0.000 5.643
```

# 2
U2Al3Si3 | PBE | relaxed Values from VASP.

Properties
E_form (eV/f.u.): -2.00

```
&SYSTEM
  ibrav = 0, nat = 8, ntyp = 3
/
ATOMIC_SPECIES
U 238.03 U.upf
Al 26.98 Al.upf
Si 28.09 Si.upf
ATOMIC_POSITIONS crystal
U 0.000 0.000 0.240
U 0.000 0.000 0.760
Al 0.000 0.500 0.500
Al 0.500 0.500 0.249
Al 0.500 0.500 0.751
Si 0.000 0.500 0.000
Si 0.500 0.000 0.000
Si 0.500 0.000 0.500
CELL_PARAMETERS angstrom
4.163 0.000 0.000
0.000 4.270 0.000
0.000 0.000 8.012
```

# 3
YAlSi | PBE | relaxed Values from VASP.

Properties
E_form (eV/f.u.): -1.82

```
&SYSTEM
  ibrav = 0, nat = 6, ntyp = 3
/
ATOMIC_SPECIES
Y 88.91 Y.upf
Al 26.98 Al.upf
Si 28.09 Si.upf
ATOMIC_POSITIONS crystal
Y 0.194 0.806 0.750
Y 0.806 0.194 0.250
Al 0.500 0.500 0.000
Al 0.500 0.500 0.500
Si 0.099 0.901 0.250
Si 0.901 0.099 0.750
CELL_PARAMETERS angstrom
2.007 -5.162 0.000
2.007 5.162 0.000
0.000 0.000 5.715
```

# 4
Y2AlSi2 | PBE | relaxed Values from VASP.

Properties
E_form (eV/f.u.): -3.54

```
&SYSTEM
  ibrav = 0, nat = 5, ntyp = 3
/
ATOMIC_SPECIES
Y 88.91 Y.upf
Al 26.98 Al.upf
Si 28.09 Si.upf
ATOMIC_POSITIONS crystal
Y 0.211 0.211 0.000
Y 0.789 0.789 0.000
Al 0.500 0.000 0.500
Si 0.211 0.500 0.711
Si 0.789 0.500 0.289
CELL_PARAMETERS angstrom
-2.030 2.918 4.350
2.030 -2.918 4.350
2.030 2.918 -4.350
```

# 5
Y12Al7Si | PBE | relaxed Values from VASP.

Properties
E_form (eV/f.u.): -8.25

```
&SYSTEM
  ibrav = 0, nat = 40, ntyp = 3
/
ATOMIC_SPECIES
Y 88.91 Y.upf
Al 26.98 Al.upf
Si 28.09 Si.upf
ATOMIC_POSITIONS crystal
Y 0.064 0.928 0.266
Y 0.072 0.338 0.136
Y 0.147 0.647 0.500
Y 0.162 0.428 0.864
Y 0.170 0.330 0.500
Y 0.201 0.936 0.864
Y 0.299 0.162 0.734
Y 0.330 0.830 0.159
Y 0.338 0.201 0.266
Y 0.353 0.853 0.500
Y 0.428 0.564 0.266
Y 0.436 0.701 0.864
Y 0.564 0.299 0.136
Y 0.572 0.436 0.734
Y 0.647 0.147 0.500
Y 0.662 0.799 0.734
Y 0.670 0.170 0.841
Y 0.701 0.838 0.266
Y 0.799 0.064 0.136
Y 0.830 0.670 0.500
Y 0.838 0.572 0.136
Y 0.853 0.353 0.500
Y 0.928 0.662 0.864
Y 0.936 0.072 0.734
Al 0.000 0.000 0.000
Al 0.025 0.882 0.500
Al 0.118 0.618 0.143
Al 0.118 0.618 0.736
Al 0.382 0.118 0.500
Al 0.382 0.525 0.500
Al 0.475 0.975 0.857
Al 0.500 0.500 0.000
Al 0.525 0.025 0.143
Al 0.618 0.475 0.500
Al 0.618 0.882 0.500
Al 0.882 0.382 0.264
Al 0.882 0.382 0.857
Al 0.975 0.118 0.500
Si 0.250 0.250 0.000
Si 0.750 0.750 0.000
CELL_PARAMETERS angstrom
-5.853 5.853 7.608
5.853 -5.853 7.608
5.853 5.853 -7.608
```

# 6
YAl2Si2 | PBE | relaxed Values from VASP.

Properties
E_form (eV/f.u.): -1.76

```
&SYSTEM
  ibrav = 0, nat = 5, ntyp = 3
/
ATOMIC_SPECIES
Y 88.91 Y.upf
Al 26.98 Al.upf
Si 28.09 Si.upf
ATOMIC_POSITIONS crystal
Y 0.000 0.000 0.000
Al 0.333 0.667 0.645
Al 0.667 0.333 0.355
Si 0.333 0.667 0.260
Si 0.667 0.333 0.740
CELL_PARAMETERS angstrom
4.214 0.000 0.000
-2.107 3.649 0.000
0.000 0.000 6.577
```

# 7
Sm3Al | PBE | relaxed Values from VASP.

Properties
E_form (eV/f.u.): -0.74
Energy above the lowest structure with this stoichiometry (eV/atom): 0.000

```
&SYSTEM
  ibrav = 0, nat = 8, ntyp = 2
/
ATOMIC_SPECIES
Sm 150.36 Sm.upf
Al 26.98 Al.upf
ATOMIC_POSITIONS crystal
Sm 0.177 0.354 0.250
Sm 0.177 0.823 0.250
Sm 0.354 0.177 0.750
Sm 0.646 0.823 0.250
Sm 0.823 0.177 0.750
Sm 0.823 0.646 0.750
Al 0.333 0.667 0.750
Al 0.667 0.333 0.250
CELL_PARAMETERS angstrom
7.019 0.000 0.000
-3.509 6.079 0.000
0.000 0.000 5.367
```

# 8
SmAl2 | PBE | relaxed Values from VASP.

Properties
E_form (eV/f.u.): -1.54

```
&SYSTEM
  ibrav = 0, nat = 6, ntyp = 2
/
ATOMIC_SPECIES
Sm 150.36 Sm.upf
Al 26.98 Al.upf
ATOMIC_POSITIONS crystal
Sm 0.125 0.125 0.125
Sm 0.875 0.875 0.875
Al 0.000 0.500 0.500
Al 0.500 0.000 0.500
Al 0.500 0.500 0.000
Al 0.500 0.500 0.500
CELL_PARAMETERS angstrom
0.000 3.989 3.989
3.989 0.000 3.989
3.989 3.989 0.000
```

# 9
SmAl4 | PBE | relaxed Values from VASP.

Properties
E_form (eV/f.u.): -1.42
Energy above the lowest structure with this stoichiometry (eV/atom): 0.059

```
&SYSTEM
  ibrav = 0, nat = 5, ntyp = 2
/
ATOMIC_SPECIES
Sm 150.36 Sm.upf
Al 26.98 Al.upf
ATOMIC_POSITIONS crystal
Sm 0.000 0.000 0.000
Al 0.250 0.750 0.500
Al 0.390 0.390 0.000
Al 0.610 0.610 0.000
Al 0.750 0.250 0.500
CELL_PARAMETERS angstrom
-2.116 2.116 5.715
2.116 -2.116 5.715
2.116 2.116 -5.715
```

# 10
Sm3Al11 | PBE | relaxed Values from VASP.

Properties
E_form (eV/f.u.): -5.18

```
&SYSTEM
  ibrav = 0, nat = 14, ntyp = 2
/
ATOMIC_SPECIES
Sm 150.36 Sm.upf
Al 26.98 Al.upf
ATOMIC_POSITIONS crystal
Sm 0.000 0.000 0.000
Sm 0.317 0.317 0.000
Sm 0.683 0.683 0.000
Al 0.036 0.666 0.370
Al 0.137 0.863 0.274
Al 0.285 0.500 0.785
Al 0.296 0.666 0.630
Al 0.411 0.137 0.274
Al 0.500 0.000 0.500
Al 0.589 0.863 0.726
Al 0.704 0.334 0.370
Al 0.715 0.500 0.215
Al 0.863 0.137 0.726
Al 0.964 0.334 0.630
CELL_PARAMETERS angstrom
-2.163 5.004 6.464
2.163 -5.004 6.464
2.163 5.004 -6.464
```

# 11
SmAl4 | PBE | relaxed Values from VASP.

Properties
E_form (eV/f.u.): -1.72
Energy above the lowest structure with this stoichiometry (eV/atom): 0.000

```
&SYSTEM
  ibrav = 0, nat = 10, ntyp = 2
/
ATOMIC_SPECIES
Sm 150.36 Sm.upf
Al 26.98 Al.upf
ATOMIC_POSITIONS crystal
Sm 0.364 0.114 0.250
Sm 0.636 0.886 0.750
Al 0.000 0.500 0.500
Al 0.137 0.887 0.250
Al 0.159 0.698 0.461
Al 0.263 0.302 0.961
Al 0.500 0.500 0.000
Al 0.737 0.698 0.039
Al 0.841 0.302 0.539
Al 0.863 0.113 0.750
CELL_PARAMETERS angstrom
-2.239 3.195 6.881
2.239 -3.195 6.881
2.239 3.195 -6.881
```

# 12
Sm3Al | PBE | relaxed Values from VASP.

Properties
E_form (eV/f.u.): -0.69
Energy above the lowest structure with this stoichiometry (eV/atom): 0.011

```
&SYSTEM
  ibrav = 0, nat = 4, ntyp = 2
/
ATOMIC_SPECIES
Sm 150.36 Sm.upf
Al 26.98 Al.upf
ATOMIC_POSITIONS crystal
Sm 0.000 0.000 0.500
Sm 0.000 0.500 0.000
Sm 0.500 0.000 0.000
Al 0.500 0.500 0.500
CELL_PARAMETERS angstrom
4.848 0.000 0.000
0.000 4.848 0.000
0.000 0.000 4.848
```

# 13
Sm6Ta4Al43 | PBE | relaxed Values from VASP.

Properties
E_form (eV/f.u.): -16.43

```
&SYSTEM
  ibrav = 0, nat = 106, ntyp = 3
/
ATOMIC_SPECIES
Sm 150.36 Sm.upf
Ta 180.95 Ta.upf
Al 26.98 Al.upf
ATOMIC_POSITIONS crystal
Sm 0.000 0.471 0.096
Sm 0.000 0.471 0.404
Sm 0.000 0.529 0.596
Sm 0.000 0.529 0.904
Sm 0.471 0.000 0.096
Sm 0.471 0.000 0.404
Sm 0.471 0.471 0.596
Sm 0.471 0.471 0.904
Sm 0.529 0.000 0.596
Sm 0.529 0.000 0.904
Sm 0.529 0.529 0.096
Sm 0.529 0.529 0.404
Ta 0.000 0.000 0.000
Ta 0.000 0.000 0.500
Ta 0.000 0.273 0.250
Ta 0.000 0.727 0.750
Ta 0.273 0.000 0.250
Ta 0.273 0.273 0.750
Ta 0.727 0.000 0.750
Ta 0.727 0.727 0.250
Al 0.000 0.146 0.750
Al 0.000 0.158 0.115
Al 0.000 0.158 0.385
Al 0.000 0.255 0.530
Al 0.000 0.255 0.970
Al 0.000 0.745 0.030
Al 0.000 0.745 0.470
Al 0.000 0.842 0.615
Al 0.000 0.842 0.885
Al 0.000 0.854 0.250
Al 0.146 0.000 0.750
Al 0.146 0.146 0.250
Al 0.149 0.554 0.250
Al 0.149 0.595 0.750
Al 0.157 0.394 0.664
Al 0.157 0.394 0.836
Al 0.157 0.763 0.164
Al 0.157 0.763 0.336
Al 0.158 0.000 0.115
Al 0.158 0.000 0.385
Al 0.158 0.158 0.615
Al 0.158 0.158 0.885
Al 0.237 0.394 0.164
Al 0.237 0.394 0.336
Al 0.237 0.843 0.664
Al 0.237 0.843 0.836
Al 0.247 0.494 0.000
Al 0.247 0.494 0.500
Al 0.247 0.753 0.000
Al 0.247 0.753 0.500
Al 0.255 0.000 0.530
Al 0.255 0.000 0.970
Al 0.255 0.255 0.030
Al 0.255 0.255 0.470
Al 0.333 0.667 0.127
Al 0.333 0.667 0.373
Al 0.333 0.667 0.627
Al 0.333 0.667 0.873
Al 0.394 0.157 0.664
Al 0.394 0.157 0.836
Al 0.394 0.237 0.164
Al 0.394 0.237 0.336
Al 0.405 0.554 0.750
Al 0.405 0.851 0.250
Al 0.446 0.595 0.250
Al 0.446 0.851 0.750
Al 0.494 0.247 0.000
Al 0.494 0.247 0.500
Al 0.506 0.753 0.000
Al 0.506 0.753 0.500
Al 0.554 0.149 0.250
Al 0.554 0.405 0.750
Al 0.595 0.149 0.750
Al 0.595 0.446 0.250
Al 0.606 0.763 0.664
Al 0.606 0.763 0.836
Al 0.606 0.843 0.164
Al 0.606 0.843 0.336
Al 0.667 0.333 0.127
Al 0.667 0.333 0.373
Al 0.667 0.333 0.627
Al 0.667 0.333 0.873
Al 0.745 0.000 0.030
Al 0.745 0.000 0.470
Al 0.745 0.745 0.530
Al 0.745 0.745 0.970
Al 0.753 0.247 0.000
Al 0.753 0.247 0.500
Al 0.753 0.506 0.000
Al 0.753 0.506 0.500
Al 0.763 0.157 0.164
Al 0.763 0.157 0.336
Al 0.763 0.606 0.664
Al 0.763 0.606 0.836
Al 0.842 0.000 0.615
Al 0.842 0.000 0.885
Al 0.842 0.842 0.115
Al 0.842 0.842 0.385
Al 0.843 0.237 0.664
Al 0.843 0.237 0.836
Al 0.843 0.606 0.164
Al 0.843 0.606 0.336
Al 0.851 0.405 0.250
Al 0.851 0.446 0.750
Al 0.854 0.000 0.250
Al 0.854 0.854 0.750
CELL_PARAMETERS angstrom
11.181 0.000 0.000
-5.590 9.683 0.000
0.000 0.000 17.878
```

# 14
Sm6Al43V4 | PBE | relaxed Values from VASP.

Properties
E_form (eV/f.u.): -16.59

```
&SYSTEM
  ibrav = 0, nat = 106, ntyp = 3
/
ATOMIC_SPECIES
Sm 150.36 Sm.upf
Al 26.98 Al.upf
V 50.94 V.upf
ATOMIC_POSITIONS crystal
Sm 0.000 0.471 0.096
Sm 0.000 0.471 0.404
Sm 0.000 0.529 0.596
Sm 0.000 0.529 0.904
Sm 0.471 0.000 0.096
Sm 0.471 0.000 0.404
Sm 0.471 0.471 0.596
Sm 0.471 0.471 0.904
Sm 0.529 0.000 0.596
Sm 0.529 0.000 0.904
Sm 0.529 0.529 0.096
Sm 0.529 0.529 0.404
Al 0.000 0.145 0.750
Al 0.000 0.155 0.116
Al 0.000 0.155 0.384
Al 0.000 0.251 0.530
Al 0.000 0.251 0.970
Al 0.000 0.749 0.030
Al 0.000 0.749 0.470
Al 0.000 0.845 0.616
Al 0.000 0.845 0.884
Al 0.000 0.855 0.250
Al 0.145 0.000 0.750
Al 0.145 0.145 0.250
Al 0.146 0.548 0.250
Al 0.146 0.598 0.750
Al 0.155 0.000 0.116
Al 0.155 0.000 0.384
Al 0.155 0.155 0.616
Al 0.155 0.155 0.884
Al 0.158 0.391 0.667
Al 0.158 0.391 0.833
Al 0.158 0.766 0.167
Al 0.158 0.766 0.333
Al 0.234 0.391 0.167
Al 0.234 0.391 0.333
Al 0.234 0.842 0.667
Al 0.234 0.842 0.833
Al 0.247 0.494 0.000
Al 0.247 0.494 0.500
Al 0.247 0.753 0.000
Al 0.247 0.753 0.500
Al 0.251 0.000 0.530
Al 0.251 0.000 0.970
Al 0.251 0.251 0.030
Al 0.251 0.251 0.470
Al 0.333 0.667 0.128
Al 0.333 0.667 0.372
Al 0.333 0.667 0.628
Al 0.333 0.667 0.872
Al 0.391 0.158 0.667
Al 0.391 0.158 0.833
Al 0.391 0.234 0.167
Al 0.391 0.234 0.333
Al 0.402 0.548 0.750
Al 0.402 0.854 0.250
Al 0.452 0.598 0.250
Al 0.452 0.854 0.750
Al 0.494 0.247 0.000
Al 0.494 0.247 0.500
Al 0.506 0.753 0.000
Al 0.506 0.753 0.500
Al 0.548 0.146 0.250
Al 0.548 0.402 0.750
Al 0.598 0.146 0.750
Al 0.598 0.452 0.250
Al 0.609 0.766 0.667
Al 0.609 0.766 0.833
Al 0.609 0.842 0.167
Al 0.609 0.842 0.333
Al 0.667 0.333 0.128
Al 0.667 0.333 0.372
Al 0.667 0.333 0.628
Al 0.667 0.333 0.872
Al 0.749 0.000 0.030
Al 0.749 0.000 0.470
Al 0.749 0.749 0.530
Al 0.749 0.749 0.970
Al 0.753 0.247 0.000
Al 0.753 0.247 0.500
Al 0.753 0.506 0.000
Al 0.753 0.506 0.500
Al 0.766 0.158 0.167
Al 0.766 0.158 0.333
Al 0.766 0.609 0.667
Al 0.766 0.609 0.833
Al 0.842 0.234 0.667
Al 0.842 0.234 0.833
Al 0.842 0.609 0.167
Al 0.842 0.609 0.333
Al 0.845 0.000 0.616
Al 0.845 0.000 0.884
Al 0.845 0.845 0.116
Al 0.845 0.845 0.384
Al 0.854 0.402 0.250
Al 0.854 0.452 0.750
Al 0.855 0.000 0.250
Al 0.855 0.855 0.750
V 0.000 0.000 0.000
V 0.000 0.000 0.500
V 0.000 0.268 0.250
V 0.000 0.732 0.750
V 0.268 0.000 0.250
V 0.268 0.268 0.750
V 0.732 0.000 0.750
V 0.732 0.732 0.250
CELL_PARAMETERS angstrom
11.050 0.000 0.000
-5.525 9.570 0.000
0.000 0.000 17.767
```